Computed, not measured: crystalline MgCd2 at its relaxed geometry at the PBE-GGA level of DFT.

Unit cell a=3.1208 b=3.1208 c=15.9592 alpha=90.00 beta=90.00 gamma=120.00
With the nearest neighbours (Å) after each atom.
Sites, in units of the cell vectors:
Mg1 0.0000 0.0000 0.1663  6 Mg 3.12, 6 Cd 3.19-3.21
Mg2 0.0000 0.0000 0.8337  6 Mg 3.12, 6 Cd 3.19-3.21
Cd1 0.0000 0.0000 0.5000  12 Cd 3.12-3.25
Cd2 0.6667 0.3333 0.0000  6 Cd 3.12, 6 Mg 3.21
Cd3 0.6667 0.3333 0.3308  9 Cd 3.12-3.25, 3 Mg 3.19
Cd4 0.6667 0.3333 0.6692  9 Cd 3.12-3.25, 3 Mg 3.19

The total energy comes out at -1.155 eV per atom. The density comes out at 6.15 g/cm3. As for the symmetry: P-6m2, No. 187. The calculated formation energy comes out at -0.6 kJ/mol of atoms. As for the size of the total moment: 0.00 μB/f.u.